[1]
# LiNbO2F2 PBE optimized geometry
data_LiNbO2F2
_cell_length_a 5.115
_cell_length_b 7.492
_cell_length_c 7.851
_cell_angle_alpha 77.53
_cell_angle_beta 90.00
_cell_angle_gamma 90.00
_symmetry_space_group_name_H-M 'P 1'
_symmetry_Int_Tables_number 1
_symmetry_space_group_name_Hall 'P 1'
loop_
_atom_site_label
_atom_site_fract_x
_atom_site_fract_y
_atom_site_fract_z
_atom_site_occupancy
O1 0.613 0.437 0.202 1
O2 0.060 0.303 0.041 1
O3 0.940 0.697 0.959 1
O4 0.113 0.063 0.798 1
O5 0.887 0.937 0.202 1
O6 0.440 0.803 0.041 1
O7 0.387 0.563 0.798 1
O8 0.560 0.197 0.959 1
F1 0.937 0.408 0.685 1
F2 0.437 0.299 0.599 1
F3 0.063 0.592 0.315 1
F4 0.937 0.201 0.401 1
F5 0.563 0.701 0.401 1
F6 0.563 0.908 0.685 1
F7 0.063 0.799 0.599 1
F8 0.437 0.092 0.315 1
Nb1 0.237 0.827 0.832 1
Nb2 0.763 0.173 0.168 1
Nb3 0.737 0.673 0.168 1
Nb4 0.263 0.327 0.832 1
Li1 0.231 0.854 0.372 1
Li2 0.731 0.646 0.628 1
Li3 0.769 0.146 0.628 1
Li4 0.269 0.354 0.372 1
# E (MP2020) = -179.0 eV for the cell shown
# Total magnetic moment = 0.0 μB per formula unit
# Volume = 294 Å³ per cell

---

[2]
# NaB5H5 PBE optimized geometry
data_NaB5H5
_cell_length_a 13.342
_cell_length_b 6.743
_cell_length_c 12.273
_cell_angle_alpha 60.33
_cell_angle_beta 90.00
_cell_angle_gamma 90.00
_symmetry_space_group_name_H-M 'P 1'
_symmetry_Int_Tables_number 1
_symmetry_space_group_name_Hall 'P 1'
loop_
_atom_site_label
_atom_site_fract_x
_atom_site_fract_y
_atom_site_fract_z
_atom_site_occupancy
B1 0.585 0.261 0.922 1
B2 0.963 0.527 0.328 1
B3 0.679 0.265 0.827 1
B4 0.853 0.430 0.165 1
B5 0.915 0.261 0.422 1
B6 0.085 0.739 0.578 1
B7 0.147 0.570 0.835 1
B8 0.037 0.473 0.672 1
B9 0.453 0.687 0.223 1
B10 0.953 0.313 0.277 1
B11 0.547 0.313 0.777 1
B12 0.548 0.613 0.664 1
B13 0.336 0.286 0.394 1
B14 0.867 0.734 0.234 1
B15 0.766 0.548 0.235 1
B16 0.668 0.480 0.877 1
B17 0.234 0.452 0.765 1
B18 0.179 0.735 0.673 1
B19 0.133 0.266 0.766 1
B20 0.164 0.286 0.894 1
B21 0.048 0.387 0.836 1
B22 0.832 0.480 0.377 1
B23 0.168 0.520 0.623 1
B24 0.266 0.452 0.265 1
B25 0.836 0.714 0.106 1
B26 0.463 0.473 0.172 1
B27 0.734 0.548 0.735 1
B28 0.952 0.613 0.164 1
B29 0.321 0.735 0.173 1
B30 0.664 0.714 0.606 1
B31 0.367 0.266 0.266 1
B32 0.537 0.527 0.828 1
B33 0.452 0.387 0.336 1
B34 0.353 0.570 0.335 1
B35 0.647 0.430 0.665 1
B36 0.047 0.687 0.723 1
B37 0.633 0.734 0.734 1
B38 0.821 0.265 0.327 1
B39 0.332 0.520 0.123 1
B40 0.415 0.739 0.078 1
Na1 0.378 0.231 0.006 1
Na2 0.339 0.828 0.498 1
Na3 0.661 0.172 0.502 1
Na4 0.122 0.231 0.506 1
Na5 0.622 0.769 0.994 1
Na6 0.839 0.172 0.002 1
Na7 0.878 0.769 0.494 1
Na8 0.161 0.828 0.998 1
H1 0.824 0.565 0.732 1
H2 0.514 0.805 0.236 1
H3 0.665 0.356 0.597 1
H4 0.787 0.500 0.457 1
H5 0.366 0.086 0.266 1
H6 0.438 0.883 0.973 1
H7 0.835 0.356 0.097 1
H8 0.165 0.644 0.903 1
H9 0.477 0.690 0.596 1
H10 0.766 0.107 0.355 1
H11 0.287 0.500 0.043 1
H12 0.676 0.565 0.232 1
H13 0.533 0.401 0.139 1
H14 0.634 0.914 0.734 1
H15 0.062 0.883 0.473 1
H16 0.734 0.107 0.855 1
H17 0.938 0.117 0.527 1
H18 0.324 0.435 0.768 1
H19 0.967 0.401 0.639 1
H20 0.986 0.805 0.736 1
H21 0.813 0.847 0.000 1
H22 0.313 0.153 0.500 1
H23 0.023 0.690 0.096 1
H24 0.486 0.195 0.764 1
H25 0.687 0.847 0.500 1
H26 0.523 0.310 0.404 1
H27 0.713 0.500 0.957 1
H28 0.234 0.893 0.645 1
H29 0.033 0.599 0.361 1
H30 0.467 0.599 0.861 1
H31 0.977 0.310 0.904 1
H32 0.266 0.893 0.145 1
H33 0.866 0.914 0.234 1
H34 0.562 0.117 0.027 1
H35 0.176 0.435 0.268 1
H36 0.213 0.500 0.543 1
H37 0.335 0.644 0.403 1
H38 0.134 0.086 0.766 1
H39 0.014 0.195 0.264 1
H40 0.187 0.153 0.000 1
# E (MP2020) = -442.2 eV for the cell shown
# Total magnetic moment = 0.0 μB per formula unit
# Volume = 959 Å³ per cell

---

[3]
# MgTi2S5 PBE optimized geometry
data_MgTi2S5
_cell_length_a 3.933
_cell_length_b 6.068
_cell_length_c 14.810
_cell_angle_alpha 90.00
_cell_angle_beta 90.00
_cell_angle_gamma 90.00
_symmetry_space_group_name_H-M 'P 1'
_symmetry_Int_Tables_number 1
_symmetry_space_group_name_Hall 'P 1'
loop_
_atom_site_label
_atom_site_fract_x
_atom_site_fract_y
_atom_site_fract_z
_atom_site_occupancy
Ti1 0.500 0.932 0.651 1
Ti2 0.000 0.068 0.849 1
Ti3 0.500 0.932 0.349 1
Ti4 0.000 0.068 0.151 1
S1 0.500 0.586 0.608 1
S2 0.500 0.092 0.500 1
S3 0.500 0.864 0.182 1
S4 0.000 0.136 0.682 1
S5 0.500 0.586 0.392 1
S6 0.000 0.136 0.318 1
S7 0.000 0.414 0.892 1
S8 0.000 0.908 0.000 1
S9 0.500 0.864 0.818 1
S10 0.000 0.414 0.108 1
Mg1 0.000 0.403 0.500 1
Mg2 0.500 0.597 0.000 1
# E (MP2020) = -98.8 eV for the cell shown
# Total magnetic moment = 0.0 μB per formula unit
# Volume = 353 Å³ per cell

---

[4]
# MgI2O6 PBE optimized geometry
data_MgI2O6
_cell_length_a 5.304
_cell_length_b 6.751
_cell_length_c 14.781
_cell_angle_alpha 90.00
_cell_angle_beta 90.00
_cell_angle_gamma 90.00
_symmetry_space_group_name_H-M 'P 1'
_symmetry_Int_Tables_number 1
_symmetry_space_group_name_Hall 'P 1'
loop_
_atom_site_label
_atom_site_fract_x
_atom_site_fract_y
_atom_site_fract_z
_atom_site_occupancy
O1 0.534 0.834 0.581 1
O2 0.870 0.877 0.763 1
O3 0.534 0.334 0.919 1
O4 0.966 0.334 0.081 1
O5 0.420 0.103 0.077 1
O6 0.630 0.377 0.263 1
O7 0.580 0.397 0.577 1
O8 0.034 0.666 0.919 1
O9 0.130 0.123 0.237 1
O10 0.466 0.166 0.419 1
O11 0.580 0.897 0.923 1
O12 0.370 0.623 0.737 1
O13 0.370 0.123 0.763 1
O14 0.130 0.623 0.263 1
O15 0.870 0.377 0.737 1
O16 0.920 0.397 0.423 1
O17 0.080 0.103 0.923 1
O18 0.080 0.603 0.577 1
O19 0.420 0.603 0.423 1
O20 0.966 0.834 0.419 1
O21 0.466 0.666 0.081 1
O22 0.920 0.897 0.077 1
O23 0.630 0.877 0.237 1
O24 0.034 0.166 0.581 1
I1 0.748 0.214 0.650 1
I2 0.252 0.786 0.350 1
I3 0.248 0.286 0.850 1
I4 0.748 0.714 0.850 1
I5 0.752 0.214 0.350 1
I6 0.252 0.286 0.150 1
I7 0.752 0.714 0.150 1
I8 0.248 0.786 0.650 1
Mg1 0.750 0.139 0.000 1
Mg2 0.250 0.861 0.000 1
Mg3 0.750 0.639 0.500 1
Mg4 0.250 0.361 0.500 1
# E (MP2020) = -185.9 eV for the cell shown
# Total magnetic moment = 0.0 μB per formula unit
# Volume = 529 Å³ per cell